The following is a DFT calculation (meta-GGA r2SCAN) of a geometry-optimized Rb2Na2IrO4 structure.

```
Rb2Na2IrO4
1.0
10.9840 0.0000 0.0000
0.0000 6.2452 0.0190
0.0000 4.1547 8.8481
O Na Rb Ir
16 8 8 4
Cartesian
6.0049 4.7851 6.5943
7.9377 7.7154 6.5548
3.0464 2.6844 2.3122
0.5129 7.6921 6.6968
10.5008 6.6609 3.6769
8.4612 1.6375 0.6191
0.4832 3.7390 5.1902
4.9792 5.6148 2.2728
2.4457 4.7618 6.7362
10.4712 2.7078 2.1702
8.5384 5.6381 2.1308
8.0149 3.7149 5.0431
5.0088 1.6617 0.7661
5.9753 8.7382 8.1009
2.5229 8.7623 8.2479
2.9691 6.6850 3.8239
9.7792 4.4276 3.6593
1.2049 5.9723 5.2078
4.2735 4.1498 8.0330
1.2185 2.0724 3.6090
6.7105 6.2501 0.8340
6.6969 6.5049 8.0833
9.7656 8.3274 5.2581
4.2872 3.8949 0.7837
1.4386 4.9940 2.0085
1.4663 2.0387 0.0460
6.9307 3.3285 2.4345
4.0534 7.0714 6.4325
6.9583 6.2838 4.3970
9.5178 8.3611 8.8211
9.5454 5.4058 6.8586
4.0257 4.1161 4.4700
1.4648 9.3577 6.7608
9.5193 1.0421 2.1063
4.0273 7.2804 2.3367
6.9568 3.1195 6.5303
```

Values from the calculation:
* E_form: -1414 meV per atom
* calculated density: 5.2 g/cm³
* total magnetization: 0.333 μB/atom
* space-group type: No. 14